This record from the Materials Project database describes an optimized crystal structure of Dy3GaO6. The functional is r²SCAN.

abc: 5.403 7.078 7.078
angles: 102.86 90.00 90.00
Atoms (fractional coordinates):
1 O 0.821 0.105 0.578
2 O 0.321 0.578 0.105
3 Dy 0.530 0.299 0.088
4 O 0.303 0.644 0.677
5 O 0.803 0.677 0.644
6 O 0.337 0.216 0.784
7 O 0.837 0.784 0.216
8 O 0.358 0.962 0.038
9 Ga 0.000 0.193 0.807
10 O 0.803 0.356 0.323
11 Dy 0.030 0.088 0.299
12 Dy 0.530 0.912 0.701
13 O 0.321 0.895 0.422
14 O 0.303 0.323 0.356
15 O 0.858 0.038 0.962
16 Dy 0.077 0.602 0.398
17 Dy 0.577 0.398 0.602
18 Ga 0.500 0.807 0.193
19 Dy 0.030 0.701 0.912
20 O 0.821 0.422 0.895

The formation energy comes out at -34.96 eV/f.u.